Record 1
{
  "formula": "Li5VCr3O8",
  "functional": "GGA+U",
  "state": "relaxed",
  "e_above_lowest_polymorph_mev_per_atom": 11.8,
  "lattice_angstrom": [[3.007, 1.736, 5.065], [-3.007, 1.736, 5.065], [0.000, -3.472, 5.065]],
  "species": ["Li", "Li", "Li", "Li", "Li", "V", "Cr", "Cr", "Cr", "O", "O", "O", "O", "O", "O", "O", "O"],
  "frac_coords": [[0.000, 0.000, 0.500], [0.000, 0.500, 0.000], [0.065, 0.065, 0.065], [0.500, 0.000, 0.000], [0.935, 0.935, 0.935], [0.500, 0.500, 0.500], [0.000, 0.500, 0.500], [0.500, 0.000, 0.500], [0.500, 0.500, 0.000], [0.252, 0.252, 0.726], [0.252, 0.726, 0.252], [0.259, 0.259, 0.259], [0.274, 0.748, 0.748], [0.726, 0.252, 0.252], [0.741, 0.741, 0.741], [0.748, 0.274, 0.748], [0.748, 0.748, 0.274]]
}

***

Record 2
{
  "formula": "Sr3NbCoO7",
  "functional": "GGA+U",
  "state": "relaxed",
  "e_above_lowest_polymorph_mev_per_atom": 25.1,
  "lattice_angstrom": [[3.966, 0.000, 0.000], [-0.006, 3.998, 0.000], [-1.933, -1.989, 10.715]],
  "species": ["Sr", "Sr", "Sr", "Nb", "Co", "O", "O", "O", "O", "O", "O", "O"],
  "frac_coords": [[0.000, 0.000, 0.000], [0.165, 0.162, 0.323], [0.797, 0.789, 0.577], [0.387, 0.382, 0.763], [0.579, 0.586, 0.176], [0.086, 0.578, 0.153], [0.293, 0.283, 0.565], [0.382, 0.876, 0.751], [0.477, 0.471, 0.941], [0.582, 0.078, 0.153], [0.702, 0.680, 0.355], [0.882, 0.376, 0.750]]
}

***

Record 3
{
  "formula": "LiCoSnO4",
  "functional": "GGA+U",
  "state": "relaxed",
  "e_above_lowest_polymorph_mev_per_atom": 3.4,
  "lattice_angstrom": [[5.926, 0.000, 0.000], [-2.948, 5.410, 0.000], [-2.944, -1.816, 5.100]],
  "species": ["Li", "Li", "Co", "Co", "Sn", "Sn", "O", "O", "O", "O", "O", "O", "O", "O"],
  "frac_coords": [[0.248, 0.378, 0.124], [0.752, 0.622, 0.876], [0.000, 0.000, 0.500], [0.500, 0.000, 0.500], [0.000, 0.500, 0.500], [0.500, 0.000, 0.000], [0.014, 0.764, 0.738], [0.047, 0.777, 0.301], [0.475, 0.201, 0.726], [0.480, 0.747, 0.749], [0.520, 0.253, 0.251], [0.525, 0.799, 0.274], [0.953, 0.223, 0.699], [0.986, 0.236, 0.262]]
}

***

Number 1: final energy -6.60 eV per atom. Number 2: final energy -7.02 eV per atom. Number 3: final energy -5.90 eV per atom.